# 1
Compound: MgSiO3
Source: the Materials Project database
Functional: PBE-GGA
Structure: relaxed

Magnetic moment, μB per cell: 0.0
DFT formation energy, eV per atom: -2.98
SG: Cmcm, No. 63

Unit cell a=4.802 b=4.802 c=6.730 alpha=90.00 beta=90.00 gamma=147.14
Fractional positions:
Mg  0.239  0.761  0.750
Mg  0.761  0.239  0.250
Si  0.500  0.500  0.000
Si  0.500  0.500  0.500
O  0.126  0.874  0.055
O  0.126  0.874  0.445
O  0.427  0.573  0.250
O  0.573  0.427  0.750
O  0.874  0.126  0.555
O  0.874  0.126  0.945

# 2
Compound: Mg3Si2O9
Source: the Materials Project database
Functional: PBE-GGA
Structure: relaxed

Magnetic moment, μB per cell: 16.0
Offset from the most stable computed form, eV per atom: 0.000
DFT formation energy, eV per atom: -2.46
SG: C2/c, No. 15

Unit cell a=5.384 b=5.384 c=28.733 alpha=91.81 beta=91.81 gamma=117.48
Fractional positions:
Mg  0.000  0.500  0.500
Mg  0.083  0.917  0.750
Mg  0.148  0.323  0.000
Mg  0.249  0.751  0.250
Mg  0.323  0.148  0.500
Mg  0.415  0.585  0.750
Mg  0.500  0.000  0.000
Mg  0.585  0.415  0.250
Mg  0.677  0.852  0.500
Mg  0.751  0.249  0.750
Mg  0.852  0.677  0.000
Mg  0.917  0.083  0.250
Si  0.026  0.198  0.596
Si  0.139  0.636  0.903
Si  0.198  0.026  0.096
Si  0.364  0.861  0.597
Si  0.636  0.139  0.403
Si  0.802  0.974  0.904
Si  0.861  0.364  0.097
Si  0.974  0.802  0.404
O  0.004  0.177  0.539
O  0.034  0.701  0.114
O  0.037  0.202  0.116
O  0.050  0.551  0.719
O  0.117  0.283  0.781
O  0.154  0.658  0.961
O  0.177  0.004  0.039
O  0.201  0.535  0.614
O  0.202  0.037  0.616
O  0.218  0.385  0.220
O  0.283  0.117  0.281
O  0.299  0.966  0.386
O  0.342  0.846  0.539
O  0.346  0.497  0.471
O  0.385  0.218  0.720
O  0.449  0.950  0.781
O  0.465  0.799  0.886
O  0.497  0.346  0.971
O  0.503  0.654  0.029
O  0.535  0.201  0.114
O  0.551  0.050  0.219
O  0.615  0.782  0.280
O  0.654  0.503  0.529
O  0.658  0.154  0.461
O  0.701  0.034  0.614
O  0.717  0.883  0.719
O  0.782  0.615  0.780
O  0.798  0.963  0.384
O  0.799  0.465  0.386
O  0.823  0.996  0.961
O  0.846  0.342  0.039
O  0.883  0.717  0.219
O  0.950  0.449  0.281
O  0.963  0.798  0.884
O  0.966  0.299  0.886
O  0.996  0.823  0.461

# 3
Compound: MgSiO3
Source: the Materials Project database
Functional: PBE-GGA
Structure: relaxed

Magnetic moment, μB per cell: 0.0
DFT formation energy, eV per atom: -2.94
SG: P2_1/c, No. 14

Unit cell a=6.420 b=15.171 c=5.130 alpha=90.00 beta=92.58 gamma=90.00
Fractional positions:
Mg  0.106  0.165  0.359
Mg  0.106  0.335  0.859
Mg  0.333  0.118  0.912
Mg  0.333  0.382  0.412
Mg  0.667  0.618  0.588
Mg  0.667  0.882  0.088
Mg  0.894  0.665  0.141
Mg  0.894  0.835  0.641
Si  0.103  0.638  0.664
Si  0.103  0.862  0.164
Si  0.374  0.593  0.204
Si  0.374  0.907  0.704
Si  0.626  0.093  0.296
Si  0.626  0.407  0.796
Si  0.897  0.138  0.836
Si  0.897  0.362  0.336
O  0.049  0.087  0.045
O  0.049  0.413  0.545
O  0.080  0.209  0.734
O  0.080  0.291  0.234
O  0.189  0.617  0.972
O  0.189  0.883  0.472
O  0.316  0.651  0.495
O  0.316  0.849  0.995
O  0.382  0.010  0.745
O  0.382  0.490  0.245
O  0.405  0.145  0.316
O  0.405  0.355  0.816
O  0.595  0.645  0.184
O  0.595  0.855  0.684
O  0.618  0.510  0.755
O  0.618  0.990  0.255
O  0.684  0.151  0.005
O  0.684  0.349  0.505
O  0.811  0.117  0.528
O  0.811  0.383  0.028
O  0.920  0.709  0.766
O  0.920  0.791  0.266
O  0.951  0.587  0.455
O  0.951  0.913  0.955